No. 1
Entry from the Materials Project database: crystalline MgSc2V2O7 at its relaxed geometry (PBE+U).

Values from the calculation:
- energy relative to the lowest polymorph listed for this composition (meV per atom) = 4

Geometry as POSCAR:
```
MgSc2V2O7
1.0
1.424 -4.749 -2.822
3.636 -3.330 2.870
-3.563 -2.204 3.295
Mg Sc V O
1 2 2 7
Direct
0.214 0.217 0.000
0.330 0.331 0.500
0.681 0.682 0.500
0.256 0.742 0.876
0.741 0.256 0.124
0.062 0.551 0.725
0.404 0.977 0.728
0.450 0.566 0.239
0.566 0.451 0.761
0.010 0.011 0.999
0.550 0.062 0.275
0.976 0.404 0.273
```

No. 2
Entry from the Materials Project database: crystalline MgSc2V2O7 at its relaxed geometry (PBE+U).

Values from the calculation:
- energy relative to the lowest polymorph listed for this composition (meV per atom) = 0

Geometry as POSCAR:
```
MgSc2V2O7
1.0
-4.253 1.528 -3.287
-1.997 -4.408 -2.776
-3.330 -1.627 4.088
Mg Sc V O
1 2 2 7
Direct
0.919 0.077 0.605
0.312 0.329 0.498
0.670 0.690 0.495
0.275 0.720 0.900
0.742 0.268 0.099
0.040 0.645 0.668
0.355 0.955 0.666
0.437 0.569 0.232
0.575 0.420 0.750
0.985 0.012 0.967
0.645 0.055 0.360
0.951 0.354 0.360
```

No. 3
Entry from the Materials Project database: crystalline MgSc2V2O8 at its relaxed geometry (PBE+U).

Values from the calculation:
- energy relative to the lowest polymorph listed for this composition (meV per atom) = 0

Geometry as POSCAR:
```
MgSc2V2O8
1.0
4.937 0.555 0.015
0.547 4.904 0.007
-2.732 -2.724 7.091
Mg Sc V O
1 2 2 8
Direct
0.981 0.230 0.965
0.661 0.911 0.320
0.319 0.070 0.640
0.181 0.430 0.359
0.817 0.567 0.636
0.454 0.702 0.422
0.969 0.220 0.422
0.089 0.381 0.803
0.710 0.920 0.804
0.536 0.292 0.559
0.023 0.767 0.560
0.866 0.553 0.172
0.307 0.119 0.171
```

No. 4
Entry from the Materials Project database: crystalline Sr2MgV2Si4O14 at its relaxed geometry (PBE+U).

Values from the calculation:
- energy relative to the lowest polymorph listed for this composition (meV per atom) = 120

Geometry as POSCAR:
```
Sr2MgV2Si4O14
1.0
-2.402 4.888 -1.330
1.201 -1.333 -7.066
-6.369 -6.315 0.108
Sr Mg V Si O
2 1 2 4 14
Direct
0.121 0.750 0.243
0.860 0.250 0.721
0.321 0.750 0.641
0.892 0.750 0.784
0.101 0.250 0.202
0.414 0.469 0.828
0.602 0.523 0.205
0.602 0.977 0.205
0.414 0.031 0.828
0.621 0.750 0.243
0.390 0.250 0.779
0.505 0.506 0.010
0.505 0.994 0.010
0.592 0.559 0.729
0.888 0.450 0.272
0.384 0.050 0.272
0.137 0.941 0.729
0.994 0.250 0.988
0.993 0.750 0.986
0.888 0.050 0.272
0.592 0.941 0.729
0.137 0.559 0.729
0.384 0.450 0.272
```

No. 5
Entry from the Materials Project database: crystalline Sr2MgV2Si4O14 at its relaxed geometry (PBE+U).

Values from the calculation:
- energy relative to the lowest polymorph listed for this composition (meV per atom) = 0

Geometry as POSCAR:
```
Sr2MgV2Si4O14
1.0
5.225 -0.003 -1.863
-0.085 7.284 -0.235
-0.045 -0.257 7.862
Sr Mg V Si O
2 1 2 4 14
Direct
0.188 0.780 0.393
0.815 0.234 0.625
0.877 0.508 0.009
0.906 0.769 0.779
0.124 0.246 0.238
0.380 0.475 0.785
0.589 0.541 0.228
0.608 0.987 0.226
0.402 0.030 0.793
0.624 0.767 0.280
0.364 0.249 0.734
0.476 0.509 0.006
0.502 0.011 0.009
0.633 0.542 0.742
0.883 0.471 0.275
0.418 0.073 0.326
0.114 0.944 0.693
0.996 0.263 0.990
0.018 0.751 0.027
0.899 0.073 0.320
0.603 0.942 0.701
0.103 0.561 0.688
0.401 0.458 0.322
```

No. 6
Entry from the Materials Project database: crystalline Sr2MgV2Si4O14 at its relaxed geometry (PBE+U).

Values from the calculation:
- energy relative to the lowest polymorph listed for this composition (meV per atom) = 0

Geometry as POSCAR:
```
Sr2MgV2Si4O14
1.0
5.211 0.000 -1.893
-0.072 7.285 -0.198
-0.086 -0.214 7.881
Sr Mg V Si O
2 1 2 4 14
Direct
0.197 0.770 0.388
0.809 0.230 0.612
0.127 0.500 0.000
0.873 0.765 0.771
0.102 0.235 0.229
0.406 0.470 0.778
0.628 0.530 0.222
0.606 0.976 0.217
0.389 0.024 0.783
0.644 0.756 0.274
0.370 0.244 0.726
0.529 0.500 0.000
0.501 0.000 0.000
0.588 0.556 0.680
0.908 0.444 0.320
0.406 0.062 0.309
0.097 0.938 0.691
0.985 0.256 0.981
0.004 0.744 0.019
0.895 0.060 0.317
0.579 0.940 0.683
0.112 0.540 0.734
0.378 0.460 0.266
```

No. 7
Entry from the Materials Project database: crystalline Sr2MgV2Si4O14 at its relaxed geometry (PBE+U).

Values from the calculation:
- energy relative to the lowest polymorph listed for this composition (meV per atom) = 30

Geometry as POSCAR:
```
Sr2MgV2Si4O14
1.0
-4.537 1.038 -2.975
2.033 -5.680 -4.324
-1.139 -6.555 4.678
Sr Mg V Si O
2 1 2 4 14
Direct
0.192 0.687 0.365
0.849 0.329 0.701
0.729 0.072 0.452
0.950 0.752 0.817
0.116 0.199 0.240
0.415 0.504 0.803
0.594 0.465 0.231
0.607 0.908 0.174
0.366 0.071 0.748
0.648 0.679 0.263
0.362 0.296 0.752
0.506 0.476 0.018
0.512 0.953 0.956
0.618 0.609 0.709
0.856 0.333 0.349
0.421 0.990 0.261
0.061 0.010 0.683
0.979 0.280 0.003
0.034 0.738 0.044
0.894 0.976 0.288
0.528 0.055 0.621
0.132 0.610 0.701
0.380 0.387 0.325
```

No. 8
Entry from the Materials Project database: crystalline Sr2MgV2Si4O14 at its relaxed geometry (PBE+U).

Values from the calculation:
- energy relative to the lowest polymorph listed for this composition (meV per atom) = 60

Geometry as POSCAR:
```
Sr2MgV2Si4O14
1.0
-2.923 -4.776 -0.262
4.848 -2.705 -4.782
5.589 -0.046 5.692
Sr Mg V Si O
2 1 2 4 14
Direct
0.186 0.750 0.363
0.777 0.250 0.615
0.673 0.750 0.950
0.923 0.750 0.751
0.099 0.250 0.218
0.379 0.469 0.779
0.598 0.524 0.223
0.598 0.976 0.223
0.379 0.031 0.779
0.646 0.750 0.281
0.411 0.250 0.758
0.474 0.532 0.998
0.474 0.968 0.998
0.591 0.567 0.719
0.887 0.435 0.288
0.408 0.064 0.311
0.082 0.974 0.669
0.001 0.250 0.995
0.033 0.750 0.039
0.887 0.065 0.288
0.591 0.933 0.719
0.082 0.526 0.669
0.408 0.436 0.311
```

No. 9
Entry from the Materials Project database: crystalline Sr2MgV2Si4O14 at its relaxed geometry (PBE+U).

Values from the calculation:
- energy relative to the lowest polymorph listed for this composition (meV per atom) = 77

Geometry as POSCAR:
```
Sr2MgV2Si4O14
1.0
-5.393 -0.577 -0.942
-0.244 -5.398 4.703
1.091 5.084 5.892
Sr Mg V Si O
2 1 2 4 14
Direct
0.204 0.750 0.420
0.813 0.250 0.609
0.205 0.250 0.366
0.899 0.750 0.805
0.844 0.250 0.040
0.390 0.469 0.798
0.618 0.521 0.237
0.618 0.979 0.237
0.390 0.031 0.798
0.639 0.750 0.250
0.362 0.250 0.700
0.522 0.454 0.021
0.522 0.046 0.021
0.609 0.563 0.727
0.909 0.438 0.323
0.434 0.045 0.347
0.111 0.933 0.712
0.062 0.250 0.918
0.021 0.750 0.027
0.909 0.062 0.323
0.609 0.937 0.727
0.111 0.567 0.712
0.434 0.455 0.347
```

No. 10
Entry from the Materials Project database: crystalline MgV2Si3O12 at its relaxed geometry (PBE+U).

Geometry as POSCAR:
```
MgV2Si3O12
1.0
-5.835 5.835 5.897
5.835 -5.835 5.897
5.835 5.835 -5.897
Mg V Si O
4 8 12 48
Direct
0.750 0.750 0.000
0.500 0.000 0.500
0.000 0.500 0.500
0.250 0.250 0.000
0.875 0.125 0.250
0.875 0.625 0.250
0.375 0.125 0.250
0.375 0.625 0.250
0.375 0.125 0.750
0.875 0.625 0.750
0.375 0.625 0.750
0.875 0.125 0.750
0.250 0.750 0.500
0.625 0.250 0.125
0.750 0.875 0.375
0.125 0.500 0.875
0.250 0.875 0.875
0.500 0.375 0.625
0.750 0.250 0.500
0.000 0.375 0.125
0.000 0.000 0.000
0.125 0.000 0.375
0.625 0.750 0.625
0.500 0.500 0.000
0.062 0.703 0.450
0.476 0.621 0.438
0.067 0.129 0.355
0.985 0.323 0.260
0.265 0.025 0.839
0.453 0.503 0.141
0.362 0.312 0.859
0.788 0.726 0.355
0.775 0.436 0.260
0.371 0.433 0.645
0.475 0.235 0.161
0.879 0.024 0.562
0.177 0.515 0.740
0.073 0.314 0.839
0.462 0.317 0.438
0.997 0.047 0.859
0.183 0.038 0.562
0.188 0.138 0.141
0.186 0.427 0.161
0.253 0.612 0.550
0.797 0.438 0.550
0.774 0.712 0.645
0.064 0.725 0.740
0.888 0.247 0.450
0.688 0.547 0.050
0.274 0.629 0.062
0.683 0.121 0.145
0.765 0.927 0.240
0.485 0.225 0.661
0.297 0.747 0.359
0.388 0.938 0.641
0.962 0.524 0.145
0.975 0.814 0.240
0.379 0.817 0.855
0.275 0.015 0.339
0.871 0.226 0.938
0.573 0.735 0.760
0.677 0.936 0.661
0.288 0.933 0.062
0.753 0.203 0.641
0.567 0.212 0.938
0.562 0.112 0.359
0.564 0.823 0.339
0.497 0.638 0.950
0.953 0.812 0.950
0.976 0.538 0.855
0.686 0.525 0.760
0.862 0.003 0.050
```

No. 11
Entry from the Materials Project database: crystalline Mg6VSiO8 at its relaxed geometry (PBE+U).

Values from the calculation:
- energy relative to the lowest polymorph listed for this composition (meV per atom) = 0

Geometry as POSCAR:
```
Mg6VSiO8
1.0
-2.348 -0.757 8.331
-0.625 -4.255 -0.563
4.129 -0.751 1.096
Mg V Si O
6 1 1 8
Direct
0.500 0.000 0.000
0.500 0.500 0.500
0.254 0.000 0.500
0.746 0.000 0.500
0.254 0.500 0.000
0.746 0.500 0.000
0.000 0.000 0.000
0.000 0.500 0.500
0.254 0.000 0.000
0.746 0.000 0.000
0.262 0.500 0.500
0.738 0.500 0.500
0.000 0.000 0.500
0.500 0.000 0.500
0.000 0.500 0.000
0.500 0.500 0.000
```

No. 12
Entry from the Materials Project database: crystalline Mg14VSiO16 at its relaxed geometry (PBE+U).

Geometry as POSCAR:
```
Mg14VSiO16
1.0
-0.776 4.895 -7.035
-1.281 -7.054 -4.767
-4.239 0.309 0.682
Mg V Si O
14 1 1 16
Direct
0.500 0.000 0.000
0.500 0.500 0.000
0.000 0.248 0.500
0.000 0.752 0.500
0.500 0.250 0.500
0.500 0.750 0.500
0.251 0.000 0.500
0.253 0.500 0.500
0.749 0.000 0.500
0.747 0.500 0.500
0.252 0.249 0.000
0.252 0.751 0.000
0.748 0.249 0.000
0.748 0.751 0.000
0.000 0.000 0.000
0.000 0.500 0.000
0.255 0.000 0.000
0.262 0.500 0.000
0.745 0.000 0.000
0.738 0.500 0.000
0.249 0.250 0.500
0.249 0.750 0.500
0.751 0.250 0.500
0.751 0.750 0.500
0.000 0.000 0.500
0.000 0.500 0.500
0.500 0.000 0.500
0.500 0.500 0.500
0.000 0.247 0.000
0.000 0.753 0.000
0.500 0.248 0.000
0.500 0.752 0.000
```

no.,ΔH_f (0 K) (kcal/mol of atoms)
1,-69.69
2,-69.77
3,-71.45
4,-66.49
5,-69.25
6,-69.25
7,-68.56
8,-67.87
9,-67.47
10,-62.34
11,-60.06
12,-65.09